#A
First-principles (GGA-PBE) data for a relaxed Li2CuPO4 crystal, as listed in Materials Project.

Cell: 6.204 5.132 10.859 Å, 89.36 90.00 90.00°
Fractional positions:
Cu1 0.500 0.225 0.119
Cu2 0.303 0.749 0.168
Cu3 0.500 0.248 0.607
Cu4 0.697 0.749 0.168
Li1 0.744 0.303 0.838
Li2 0.253 0.204 0.339
Li3 0.747 0.204 0.339
Li4 0.751 0.802 0.658
Li5 0.249 0.802 0.658
Li6 0.000 0.804 0.427
Li7 0.000 0.696 0.923
Li8 0.256 0.303 0.838
O1 0.200 0.202 0.658
O2 0.291 0.806 0.351
O3 0.800 0.202 0.658
O4 0.708 0.697 0.828
O5 0.000 0.613 0.586
O6 0.500 0.770 0.551
O7 0.500 0.098 0.899
O8 0.801 0.284 0.160
O9 0.709 0.806 0.351
O10 0.000 0.207 0.452
O11 0.292 0.697 0.828
O12 0.199 0.284 0.160
O13 0.500 0.671 0.026
O14 0.000 0.306 0.951
O15 0.000 0.886 0.078
O16 0.500 0.390 0.404
P1 0.500 0.796 0.894
P2 0.000 0.311 0.585
P3 0.000 0.190 0.083
P4 0.500 0.691 0.414

spin magnetization = 0.000 μB per formula unit



#B
First-principles (GGA-PBE) data for a relaxed Li2CuPO4 crystal, as listed in Materials Project.

Cell: 5.389 6.246 10.084 Å, 90.11 90.18 90.39°
Fractional positions:
Cu1 0.337 0.243 0.497
Cu2 0.827 0.502 0.998
Cu3 0.667 0.260 0.745
Cu4 0.327 0.248 0.000
O1 0.697 0.201 0.951
O2 0.704 0.203 0.443
O3 0.319 0.708 0.693
O4 0.311 0.706 0.196
O5 0.896 0.501 0.206
O6 0.823 0.995 0.157
O7 0.310 0.296 0.206
O8 0.828 0.992 0.652
O9 0.678 0.797 0.946
O10 0.098 0.986 0.948
O11 0.904 0.514 0.693
O12 0.682 0.792 0.445
O13 0.176 0.512 0.406
O14 0.297 0.293 0.701
O15 0.099 0.986 0.444
O16 0.183 0.514 0.901
P1 0.826 0.993 0.497
P2 0.174 0.505 0.252
P3 0.828 0.993 0.002
P4 0.176 0.509 0.747
Li1 0.673 0.746 0.246
Li2 0.846 0.499 0.495
Li3 0.673 0.747 0.746
Li4 0.674 0.252 0.245
Li5 0.155 0.001 0.745
Li6 0.155 0.000 0.246
Li7 0.328 0.754 0.496
Li8 0.328 0.751 0.997

spin magnetization = 0.000 μB per formula unit



#C
First-principles (GGA-PBE) data for a relaxed Li2CuPO4 crystal, as listed in Materials Project.

Cell: 5.317 5.317 6.229 Å, 89.60 89.60 93.51°
Fractional positions:
O1 0.615 0.293 0.267
O2 0.293 0.615 0.267
O3 0.198 0.198 0.468
O4 0.385 0.707 0.733
O5 0.802 0.802 0.532
O6 0.791 0.791 0.945
O7 0.707 0.385 0.733
O8 0.209 0.209 0.055
P1 0.676 0.676 0.734
P2 0.324 0.324 0.266
Li1 0.683 0.683 0.240
Li2 0.179 0.821 0.500
Li3 0.317 0.317 0.760
Li4 0.821 0.179 0.500
Cu1 0.809 0.191 0.000
Cu2 0.191 0.809 0.000

spin magnetization = 0.000 μB per formula unit



#D
First-principles (GGA-PBE) data for a relaxed Li2CuPO4 crystal, as listed in Materials Project.

Cell: 5.078 6.254 10.669 Å, 90.00 90.00 90.00°
Fractional positions:
O1 0.256 0.250 0.202
O2 0.785 0.547 0.091
O3 0.244 0.250 0.702
O4 0.756 0.750 0.298
O5 0.215 0.047 0.909
O6 0.285 0.047 0.409
O7 0.744 0.750 0.798
O8 0.785 0.953 0.091
O9 0.865 0.250 0.352
O10 0.715 0.953 0.591
O11 0.215 0.453 0.909
O12 0.135 0.750 0.648
O13 0.715 0.547 0.591
O14 0.285 0.453 0.409
O15 0.365 0.750 0.148
O16 0.635 0.250 0.852
P1 0.330 0.250 0.843
P2 0.670 0.750 0.157
P3 0.170 0.250 0.343
P4 0.830 0.750 0.657
Li1 0.177 0.497 0.093
Li2 0.323 0.497 0.593
Li3 0.823 0.997 0.907
Li4 0.823 0.503 0.907
Li5 0.677 0.997 0.407
Li6 0.177 0.003 0.093
Li7 0.323 0.003 0.593
Li8 0.677 0.503 0.407
Cu1 0.332 0.750 0.839
Cu2 0.832 0.250 0.661
Cu3 0.168 0.750 0.339
Cu4 0.668 0.250 0.161

spin magnetization = 0.000 μB per formula unit



Stability check: which of them is most stable? #A.